Entry 1:
DFT (PBE) results for crystalline P3S3N6F5 at its relaxed geometry.

The structure in CIF format:
```
data_P3S3N6F5
_chemical_formula_sum 'P24 S24 N48 F40'
_space_group_name_H-M_alt 'P 1'
_space_group_IT_number 1
_space_group_name_Hall 'P 1'
_cell_length_a 10.006
_cell_length_b 15.138
_cell_length_c 16.393
_cell_angle_alpha 90.00
_cell_angle_beta 90.00
_cell_angle_gamma 90.00
loop_
_atom_site_label
_atom_site_fract_x
_atom_site_fract_y
_atom_site_fract_z
F1 0.890 0.711 0.184
F2 0.329 0.162 0.462
N1 0.596 0.308 0.407
S1 0.817 0.044 0.477
N2 0.853 0.447 0.998
N3 0.158 0.932 0.012
N4 0.223 0.845 0.884
N5 0.100 0.159 0.242
P1 0.702 0.885 0.076
N6 0.723 0.155 0.616
N7 0.244 0.561 0.654
P2 0.046 0.714 0.182
P3 0.793 0.416 0.757
N8 0.223 0.345 0.616
F3 0.329 0.662 0.038
S2 0.183 0.456 0.977
P4 0.798 0.885 0.576
F4 0.156 0.497 0.285
F5 0.671 0.338 0.962
P5 0.293 0.084 0.757
F6 0.610 0.711 0.684
N9 0.853 0.947 0.502
F7 0.110 0.789 0.684
F8 0.610 0.211 0.816
F9 0.830 0.399 0.200
N10 0.658 0.068 0.488
N11 0.400 0.659 0.758
P6 0.046 0.214 0.318
F10 0.170 0.101 0.700
S3 0.898 0.615 0.432
S4 0.398 0.385 0.068
F11 0.656 0.503 0.215
F12 0.436 0.314 0.800
S5 0.372 0.358 0.581
F13 0.436 0.814 0.700
S6 0.602 0.615 0.932
N12 0.723 0.655 0.884
N13 0.147 0.053 0.498
P7 0.207 0.584 0.243
P8 0.207 0.084 0.257
F14 0.936 0.686 0.700
N14 0.100 0.659 0.258
S7 0.317 0.956 0.023
F15 0.670 0.899 0.800
F16 0.656 0.003 0.285
N15 0.756 0.439 0.346
S8 0.602 0.115 0.568
S9 0.872 0.642 0.919
F17 0.064 0.814 0.200
F18 0.171 0.662 0.538
F19 0.670 0.399 0.700
F20 0.390 0.289 0.316
N16 0.353 0.553 0.502
N17 0.353 0.053 0.998
N18 0.647 0.947 0.002
F21 0.844 0.503 0.715
N19 0.256 0.561 0.154
P9 0.954 0.786 0.682
N20 0.777 0.155 0.116
F22 0.330 0.601 0.300
F23 0.344 0.497 0.785
N21 0.600 0.841 0.258
S10 0.102 0.385 0.568
P10 0.454 0.214 0.818
N22 0.404 0.692 0.593
P11 0.298 0.615 0.576
S11 0.683 0.544 0.523
N23 0.400 0.159 0.742
F24 0.344 0.997 0.715
F25 0.390 0.789 0.184
N24 0.342 0.432 0.988
N25 0.744 0.439 0.846
F26 0.110 0.289 0.816
P12 0.707 0.916 0.243
P13 0.454 0.714 0.682
P14 0.293 0.584 0.743
N26 0.744 0.939 0.654
S12 0.183 0.956 0.523
F27 0.890 0.211 0.316
F28 0.936 0.186 0.800
N27 0.842 0.068 0.988
F29 0.330 0.101 0.200
F30 0.156 0.997 0.215
N28 0.842 0.568 0.512
S13 0.102 0.885 0.932
F31 0.830 0.899 0.300
P15 0.202 0.615 0.076
N29 0.658 0.568 0.012
N30 0.096 0.692 0.093
P16 0.798 0.385 0.924
P17 0.298 0.115 0.924
F32 0.671 0.838 0.538
S14 0.898 0.115 0.068
N31 0.600 0.341 0.242
N32 0.756 0.939 0.154
S15 0.128 0.358 0.081
F33 0.064 0.314 0.300
P18 0.707 0.416 0.257
N33 0.777 0.655 0.384
N34 0.244 0.061 0.846
N35 0.904 0.308 0.907
P19 0.546 0.286 0.318
S16 0.372 0.858 0.919
S17 0.817 0.544 0.023
N36 0.277 0.845 0.384
P20 0.546 0.786 0.182
F34 0.564 0.686 0.200
P21 0.793 0.916 0.743
N37 0.900 0.341 0.742
N38 0.596 0.808 0.093
F35 0.171 0.162 0.962
S18 0.872 0.142 0.581
N39 0.277 0.345 0.116
F36 0.170 0.601 0.800
P22 0.202 0.115 0.424
F37 0.844 0.003 0.785
S19 0.628 0.142 0.081
P23 0.954 0.286 0.818
N40 0.256 0.061 0.346
N41 0.096 0.192 0.407
F38 0.564 0.186 0.300
N42 0.404 0.192 0.907
F39 0.829 0.838 0.038
N43 0.342 0.932 0.512
S20 0.628 0.642 0.419
S21 0.317 0.456 0.477
N44 0.158 0.432 0.488
S22 0.398 0.885 0.432
S23 0.683 0.044 0.977
F40 0.829 0.338 0.462
N45 0.147 0.553 0.002
P24 0.702 0.385 0.424
N46 0.900 0.841 0.758
N47 0.647 0.447 0.498
S24 0.128 0.858 0.419
N48 0.904 0.808 0.593
```

Values from the calculation:
Calculated total energy (eV for the cell shown): -824.342
Space-group type: Pbca, No. 61

=====

Entry 2:
DFT (PBE) results for crystalline Pr3NF6 at its relaxed geometry.

The structure in CIF format:
```
data_Pr3NF6
_chemical_formula_sum 'Pr3 N1 F6'
_space_group_name_H-M_alt 'P 1'
_space_group_IT_number 1
_space_group_name_Hall 'P 1'
_cell_length_a 4.027
_cell_length_b 5.983
_cell_length_c 7.153
_cell_angle_alpha 114.20
_cell_angle_beta 104.45
_cell_angle_gamma 89.67
loop_
_atom_site_label
_atom_site_fract_x
_atom_site_fract_y
_atom_site_fract_z
N1 0.555 0.724 0.001
F1 0.126 0.729 0.643
F2 0.832 0.117 0.712
F3 0.193 0.930 0.355
Pr1 0.320 0.356 0.692
F4 0.496 0.240 0.994
F5 0.702 0.353 0.489
Pr2 0.041 0.963 0.000
Pr3 0.661 0.655 0.308
F6 0.126 0.408 0.252
```

Values from the calculation:
Calculated total energy (eV for the cell shown): -68.661
Largest piezoelectric modulus (C/m²): 86.1
Space-group type: P1, No. 1

=====

Entry 3:
DFT (PBE) results for crystalline PtN2F6 at its relaxed geometry.

The structure in CIF format:
```
data_PtN2F6
_chemical_formula_sum 'Pt1 N2 F6'
_space_group_name_H-M_alt 'P 1'
_space_group_IT_number 1
_space_group_name_Hall 'P 1'
_cell_length_a 5.766
_cell_length_b 5.766
_cell_length_c 5.766
_cell_angle_alpha 60.00
_cell_angle_beta 60.00
_cell_angle_gamma 60.00
loop_
_atom_site_label
_atom_site_fract_x
_atom_site_fract_y
_atom_site_fract_z
F1 0.765 0.235 0.235
F2 0.765 0.765 0.235
N1 0.250 0.250 0.250
Pt1 0.000 0.000 0.000
F3 0.235 0.765 0.765
F4 0.765 0.235 0.765
F5 0.235 0.235 0.765
F6 0.235 0.765 0.235
N2 0.750 0.750 0.750
```

Values from the calculation:
Calculated total energy (eV for the cell shown): -31.574
Space-group type: Fm-3m, No. 225

=====

Entry 4:
DFT (PBE) results for crystalline SbSNF5 at its relaxed geometry.

The structure in CIF format:
```
data_SbSNF5
_chemical_formula_sum 'Sb16 S16 N16 F80'
_space_group_name_H-M_alt 'P 1'
_space_group_IT_number 1
_space_group_name_Hall 'P 1'
_cell_length_a 16.509
_cell_length_b 8.589
_cell_length_c 15.973
_cell_angle_alpha 79.42
_cell_angle_beta 90.00
_cell_angle_gamma 90.00
loop_
_atom_site_label
_atom_site_fract_x
_atom_site_fract_y
_atom_site_fract_z
F1 0.599 0.398 0.796
N1 0.565 0.116 0.409
Sb1 0.745 0.059 0.244
F2 0.307 0.378 0.592
F3 0.639 0.636 0.880
S1 0.871 0.042 0.493
F4 0.767 0.020 0.866
N2 0.928 0.147 0.539
N3 0.412 0.091 0.046
S2 0.506 0.955 0.636
Sb2 0.522 0.610 0.205
F5 0.860 0.067 0.256
Sb3 0.478 0.390 0.795
F6 0.238 0.716 0.256
F7 0.861 0.636 0.380
Sb4 0.332 0.373 0.470
F8 0.267 0.980 0.634
F9 0.402 0.549 0.472
F10 0.523 0.536 0.099
F11 0.243 0.509 0.435
F12 0.361 0.364 0.120
F13 0.920 0.769 0.990
F14 0.693 0.622 0.408
F15 0.598 0.451 0.528
F16 0.129 0.953 0.267
F17 0.022 0.604 0.234
F18 0.138 0.361 0.855
F19 0.871 0.047 0.733
F20 0.522 0.396 0.266
F21 0.640 0.067 0.756
F22 0.733 0.020 0.366
F23 0.023 0.464 0.401
F24 0.757 0.491 0.565
N4 0.935 0.116 0.909
S3 0.014 0.190 0.568
F25 0.193 0.378 0.092
N5 0.572 0.147 0.039
F26 0.485 0.180 0.862
F27 0.580 0.769 0.490
S4 0.371 0.958 0.007
F28 0.978 0.396 0.766
Sb5 0.245 0.941 0.256
S5 0.006 0.045 0.864
N6 0.588 0.909 0.954
F29 0.985 0.820 0.638
S6 0.109 0.863 0.007
Sb6 0.785 0.524 0.321
F30 0.015 0.180 0.362
S7 0.494 0.045 0.364
F31 0.138 0.382 0.292
S8 0.486 0.190 0.068
S9 0.609 0.137 0.493
F32 0.478 0.604 0.734
N7 0.571 0.056 0.580
N8 0.072 0.853 0.461
N9 0.071 0.944 0.920
F33 0.098 0.549 0.972
F34 0.140 0.933 0.744
F35 0.862 0.639 0.145
N10 0.428 0.853 0.961
F36 0.721 0.344 0.914
S10 0.891 0.137 0.993
S11 0.129 0.958 0.507
N11 0.088 0.091 0.546
F37 0.754 0.099 0.122
N12 0.065 0.884 0.091
F38 0.401 0.602 0.204
F39 0.738 0.284 0.244
F40 0.486 0.305 0.694
F41 0.862 0.618 0.708
F42 0.254 0.901 0.378
Sb7 0.255 0.941 0.756
F43 0.629 0.047 0.233
N13 0.929 0.056 0.080
F44 0.254 0.166 0.254
F45 0.746 0.099 0.622
F46 0.762 0.284 0.744
F47 0.362 0.361 0.355
Sb8 0.668 0.627 0.530
F48 0.080 0.231 0.010
F49 0.779 0.344 0.414
F50 0.746 0.834 0.746
Sb9 0.285 0.476 0.179
F51 0.638 0.618 0.208
Sb10 0.215 0.476 0.679
F52 0.264 0.191 0.476
F53 0.901 0.398 0.296
S12 0.994 0.955 0.136
Sb11 0.168 0.373 0.970
Sb12 0.978 0.610 0.705
F54 0.236 0.191 0.976
F55 0.638 0.639 0.645
F56 0.262 0.716 0.756
F57 0.233 0.980 0.134
F58 0.514 0.695 0.306
F59 0.221 0.656 0.586
F60 0.902 0.451 0.028
S13 0.629 0.042 0.993
Sb13 0.832 0.627 0.030
F61 0.736 0.809 0.524
F62 0.515 0.820 0.138
F63 0.764 0.809 0.024
F64 0.246 0.901 0.878
N14 0.435 0.884 0.591
Sb14 0.022 0.390 0.295
F65 0.099 0.602 0.704
F66 0.014 0.305 0.194
S14 0.391 0.863 0.507
F67 0.139 0.364 0.620
F68 0.279 0.656 0.086
F69 0.360 0.933 0.244
F70 0.371 0.953 0.767
F71 0.257 0.509 0.935
Sb15 0.715 0.524 0.821
F72 0.362 0.382 0.792
F73 0.807 0.622 0.908
F74 0.977 0.536 0.599
F75 0.477 0.464 0.901
F76 0.754 0.834 0.246
S15 0.986 0.810 0.432
Sb16 0.755 0.059 0.744
N15 0.429 0.944 0.420
N16 0.912 0.909 0.454
F77 0.986 0.695 0.806
F78 0.743 0.491 0.065
F79 0.246 0.166 0.754
S16 0.514 0.810 0.932
F80 0.420 0.231 0.510
```

Values from the calculation:
Calculated total energy (eV for the cell shown): -624.170
Space-group type: P2_1/c, No. 14

=====

Entry 5:
DFT (PBE) results for crystalline SbS2NF6 at its relaxed geometry.

The structure in CIF format:
```
data_SbS2NF6
_chemical_formula_sum 'Sb1 S2 N1 F6'
_space_group_name_H-M_alt 'P 1'
_space_group_IT_number 1
_space_group_name_Hall 'P 1'
_cell_length_a 6.007
_cell_length_b 6.007
_cell_length_c 5.512
_cell_angle_alpha 88.63
_cell_angle_beta 88.63
_cell_angle_gamma 70.50
loop_
_atom_site_label
_atom_site_fract_x
_atom_site_fract_y
_atom_site_fract_z
F1 0.918 0.309 0.851
Sb1 0.000 0.000 0.000
S1 0.640 0.640 0.387
F2 0.082 0.691 0.149
F3 0.309 0.918 0.851
F4 0.113 0.113 0.278
F5 0.691 0.082 0.149
S2 0.360 0.360 0.613
N1 0.500 0.500 0.500
F6 0.887 0.887 0.722
```

Values from the calculation:
Calculated total energy (eV for the cell shown): -47.370
Space-group type: C2/m, No. 12

=====

Entry 6:
DFT (PBE) results for crystalline SbSNF6 at its relaxed geometry.

The structure in CIF format:
```
data_SbSNF6
_chemical_formula_sum 'Sb8 S8 N8 F48'
_space_group_name_H-M_alt 'P 1'
_space_group_IT_number 1
_space_group_name_Hall 'P 1'
_cell_length_a 8.495
_cell_length_b 10.589
_cell_length_c 14.160
_cell_angle_alpha 90.00
_cell_angle_beta 90.00
_cell_angle_gamma 90.00
loop_
_atom_site_label
_atom_site_fract_x
_atom_site_fract_y
_atom_site_fract_z
F1 0.612 0.858 0.556
F2 0.824 0.095 0.242
F3 0.588 0.383 0.612
F4 0.724 0.566 0.505
Sb1 0.727 0.515 0.123
Sb2 0.773 0.485 0.623
F5 0.112 0.858 0.944
N1 0.842 0.696 0.877
F6 0.963 0.916 0.133
Sb3 0.273 0.485 0.877
S1 0.314 0.246 0.620
F7 0.963 0.584 0.633
F8 0.537 0.084 0.633
F9 0.912 0.883 0.612
F10 0.676 0.905 0.742
F11 0.388 0.358 0.944
N2 0.158 0.196 0.623
F12 0.037 0.416 0.367
N3 0.342 0.804 0.123
F13 0.661 0.888 0.192
N4 0.342 0.696 0.623
F14 0.537 0.416 0.133
F15 0.463 0.916 0.367
F16 0.588 0.117 0.112
F17 0.888 0.358 0.556
N5 0.842 0.804 0.377
S2 0.186 0.746 0.620
F18 0.339 0.388 0.308
S3 0.686 0.754 0.380
F19 0.112 0.642 0.444
F20 0.776 0.434 0.005
F21 0.176 0.905 0.758
F22 0.276 0.434 0.495
F23 0.612 0.642 0.056
S4 0.814 0.246 0.880
F24 0.161 0.888 0.308
F25 0.824 0.405 0.742
S5 0.314 0.254 0.120
F26 0.776 0.066 0.505
Sb4 0.773 0.015 0.123
F27 0.224 0.566 0.995
F28 0.412 0.617 0.388
Sb5 0.727 0.985 0.623
N6 0.158 0.304 0.123
S6 0.686 0.746 0.880
F29 0.676 0.595 0.242
N7 0.658 0.304 0.377
F30 0.324 0.405 0.758
F31 0.224 0.934 0.495
Sb6 0.227 0.985 0.877
F32 0.037 0.084 0.867
F33 0.276 0.066 0.995
F34 0.839 0.388 0.192
F35 0.412 0.883 0.888
F36 0.161 0.612 0.808
F37 0.912 0.617 0.112
N8 0.658 0.196 0.877
F38 0.339 0.112 0.808
Sb7 0.273 0.015 0.377
S7 0.186 0.754 0.120
F39 0.661 0.612 0.692
F40 0.839 0.112 0.692
F41 0.088 0.383 0.888
S8 0.814 0.254 0.380
F42 0.888 0.142 0.056
F43 0.388 0.142 0.444
F44 0.324 0.095 0.258
Sb8 0.227 0.515 0.377
F45 0.724 0.934 0.005
F46 0.463 0.584 0.867
F47 0.176 0.595 0.258
F48 0.088 0.117 0.388
```

Values from the calculation:
Calculated total energy (eV for the cell shown): -339.013
Space-group type: Pbca, No. 61

=====

| no. | ΔE_f (eV/atom) |
| --- | --- |
| 1 | -1.007 |
| 2 | -3.727 |
| 3 | -0.013 |
| 4 | -1.893 |
| 5 | -1.792 |
| 6 | -1.895 |